No. 1
A plane-wave DFT calculation with PBE-GGA was carried out for a relaxed Na5Zr2In2SiP5O24 crystal.

Summary:
Its calculated density is 3.29 g/cm³. The formation energy is -109.833 eV/f.u. For the final energy, the calculation gives -7.02 eV per atom. As for the space group: P1 (1).

The structure in POSCAR format:
```
Na5Zr2In2SiP5O24
1.0
9.0845 0.0000 0.0000
-4.5318 7.8780 0.0000
-0.0081 -0.0267 23.1407
Na Zr In Si P O
15 6 6 3 15 72
Cartesian
0.0000 0.0000 0.0000
-1.6399 2.8428 11.5793
-2.9017 5.4289 2.0128
-0.0115 0.4723 7.6851
-2.9102 5.5382 13.5180
-0.0393 5.1890 15.4488
2.8960 0.1904 3.8630
1.6069 2.7618 17.4508
0.0236 5.7352 23.1275
1.7014 2.9048 5.7990
0.4555 5.4377 7.7287
6.1169 0.1805 9.6310
6.1496 0.1991 21.1388
4.5912 3.1032 15.4385
4.9355 2.7537 23.1047
-2.8834 5.4789 10.0892
-2.8703 5.4817 21.5228
1.5923 2.8068 13.8958
1.6448 2.8494 2.3689
6.1806 0.1650 13.0433
6.2371 0.2386 17.8326
-2.9131 5.4079 5.3628
-2.8912 5.4742 16.9652
1.6758 2.8056 20.7303
1.7307 2.8575 9.2595
6.1925 0.2216 1.5940
6.1840 0.2591 6.1463
2.9960 0.5123 23.1278
0.3396 5.1659 11.5112
7.5282 2.5161 15.4047
-1.5540 3.1417 7.7036
-4.2094 7.7837 19.2480
0.3244 0.5224 11.5174
-0.9986 2.8156 23.1064
-1.5496 7.7827 7.6699
-0.1807 5.4346 19.2394
0.3140 5.7675 3.8665
3.5479 0.2021 15.4312
2.9750 5.1199 23.1112
4.3174 2.8273 11.5662
4.8760 2.5586 3.8212
2.9976 5.7951 15.4201
4.8365 3.1349 19.2437
3.5346 5.4553 7.6757
8.8795 0.2061 3.8448
-2.1577 3.8180 8.9752
-3.9495 6.9075 20.5433
-2.2411 4.0064 15.5009
-3.7706 6.8756 3.9378
-3.5845 6.9944 11.3951
-1.9126 4.0860 22.9748
-3.5939 7.1235 18.0224
-1.7442 4.0477 6.4807
0.4880 1.3694 10.2438
-0.1449 2.5549 21.8789
0.7129 1.4793 3.6996
0.0788 2.7100 15.2882
0.9732 1.2029 12.7518
0.9300 1.2963 19.3805
-0.0958 3.1201 1.2099
-1.3163 5.2232 11.4061
-0.0024 2.9854 7.8134
-2.2530 6.8881 22.9825
-2.1858 7.1929 6.3891
-1.0250 5.2344 17.9717
-1.2343 5.6888 3.9678
-1.8461 6.8086 15.5276
-1.8453 6.8462 8.8891
-1.1063 5.6402 20.5134
2.2855 1.1993 1.3259
0.5698 4.1965 12.8380
2.2872 1.2790 7.8350
0.6847 4.1874 19.4055
0.9509 4.3651 3.6836
0.9462 4.5496 10.1521
2.7251 1.5065 15.2523
2.8052 1.4862 21.8710
0.5088 6.6238 2.5840
-0.0813 7.8452 14.1863
0.0003 7.8401 7.5974
0.6651 6.7288 19.1465
0.9418 6.3781 5.1352
4.4570 0.4342 16.6557
0.9762 6.6489 11.7091
4.6297 0.3340 0.1178
3.3087 2.6447 3.6699
2.3400 4.3761 15.2482
2.2816 4.5441 21.8875
3.4975 2.5545 10.3174
2.5859 4.2393 7.7817
3.3207 3.0027 19.3624
2.7436 4.2414 1.2140
3.4614 3.0349 12.8411
5.0286 1.6236 5.0364
2.3024 6.4282 16.6425
2.4085 6.5799 0.1437
5.2863 1.6196 11.7213
5.5220 1.7368 19.1530
2.7009 6.6558 14.1715
2.6623 6.7630 7.6054
5.4557 1.9700 2.5159
5.0988 3.9557 17.9719
4.3778 5.2579 6.4213
4.5361 5.2282 22.9739
5.2370 4.0831 11.4107
5.4709 3.8132 20.5214
4.4559 5.6800 8.9129
4.5177 5.5909 15.5177
5.4931 3.9533 3.9452
3.3223 7.8556 19.1569
6.9158 1.7175 7.6080
6.8544 1.8440 14.0693
8.0622 -0.0017 2.5512
7.1910 1.5905 0.1350
7.2114 1.5518 16.6848
7.8734 0.4331 11.7221
8.0511 0.4453 5.1181
```

No. 2
A plane-wave DFT calculation with PBE-GGA was carried out for a relaxed LiLaAu2 crystal.

Summary:
Its calculated density is 9.65 g/cm³. The formation energy is -2.692 eV/f.u. For the final energy, the calculation gives -4.02 eV per atom. As for the space group: Fm-3m (225).

The structure in POSCAR format:
```
LiLaAu2
1.0
0.0000 3.5947 3.5947
3.5947 0.0000 3.5947
3.5947 3.5947 0.0000
Li La Au
1 1 2
Cartesian
0.0000 0.0000 0.0000
3.5947 3.5947 3.5947
1.7974 1.7974 1.7974
5.3921 5.3921 5.3921
```

No. 3
A plane-wave DFT calculation with PBE-GGA was carried out for a relaxed SrS2O10 crystal.

Summary:
Its calculated density is 2.30 g/cm³. The formation energy is -16.606 eV/f.u. For the final energy, the calculation gives -5.73 eV per atom. As for the space group: P3_2 (145).

The structure in POSCAR format:
```
SrS2O10
1.0
13.0538 0.0000 0.0000
-6.5269 11.3049 0.0000
0.0000 0.0000 18.3245
Sr S O
12 24 120
Cartesian
-6.4991 11.2806 0.0000
0.0072 0.0362 12.2163
-3.2320 5.6596 18.2878
3.2601 5.6212 6.0302
-0.0095 11.2740 6.0715
3.2415 5.6761 12.1797
6.5075 0.0285 12.1803
6.5556 0.0127 18.2465
3.2977 5.6550 18.2885
9.7753 5.6215 6.0721
6.4919 11.2930 6.1081
9.7649 5.6710 12.1383
-0.7400 2.1183 3.0477
-3.9928 7.7843 3.0490
-4.3224 10.8866 9.1558
-2.5454 7.8171 15.1928
-1.0382 6.0864 9.0925
1.5255 1.7179 15.2921
1.0297 5.1920 9.0847
1.7819 3.9548 15.2653
4.2819 0.4539 9.1464
-0.7368 9.1608 15.2007
1.7750 7.3626 2.9844
5.0726 1.6815 2.9868
4.7893 3.9159 2.9774
1.5156 9.6006 2.9766
2.2110 10.8706 9.1571
7.2679 2.1897 15.1937
5.4468 6.0712 9.0950
4.7790 7.3697 15.2545
7.5235 5.1993 9.0855
5.0624 9.6049 15.2640
10.8033 0.4622 9.1839
9.0613 3.5523 15.2031
7.2518 9.1248 3.0758
10.5197 3.4813 3.0382
-2.3661 4.2954 1.8135
-5.6070 9.9206 4.3102
-5.6349 9.9586 1.8650
-2.3267 4.2884 4.2631
-4.2182 9.4435 9.2096
-3.7251 8.6571 15.1911
-1.6636 5.4809 7.8934
0.7199 1.4456 14.0813
-1.6365 5.5701 10.3442
0.7388 1.4888 16.5265
-0.6977 3.9819 12.5723
-0.1574 3.1139 11.8918
-2.3787 6.9933 16.4105
1.6087 0.1038 7.9057
-2.3487 7.0183 13.9606
1.5944 0.1960 10.3589
-3.3016 8.8180 11.8149
-3.8074 9.7036 12.5115
-0.5351 4.1236 17.9277
0.0271 3.1558 6.4034
-3.1285 8.8024 6.4284
-3.7514 9.8843 18.0000
0.4576 2.9301 3.1014
-2.8051 8.6119 3.1114
0.5410 4.0366 5.7068
0.4680 4.1944 0.3203
-2.6882 9.7064 5.7114
-2.7296 9.9182 0.3560
0.8921 3.7503 9.0830
0.4712 4.5697 15.3277
-0.9184 7.5291 9.0387
2.8407 1.1133 15.2908
2.5828 1.6810 5.6475
2.7430 1.5191 0.2989
-0.5318 7.1875 0.3120
-0.5964 7.3366 5.7025
0.4657 6.7449 2.9305
3.7689 1.0544 2.9271
3.0895 2.5106 6.4086
0.4714 7.1201 17.9189
3.8097 1.5201 18.0034
-0.0364 8.1717 6.4202
0.5682 7.2506 12.5283
3.3055 2.5404 11.8002
-1.6497 11.1757 10.3713
3.8498 1.7071 12.5314
0.1250 8.1530 11.8107
-0.9485 10.0051 14.0016
-1.6239 11.2063 7.9217
-0.8848 9.9371 16.4524
2.5139 4.2142 14.0061
1.6232 5.7617 7.8525
1.6599 5.7482 10.3023
2.6302 4.1954 16.4547
4.1618 1.8965 9.1600
0.4528 8.3357 15.1469
3.9919 4.1377 1.7478
3.9897 4.1769 4.1960
0.7255 9.8298 1.7443
0.7189 9.8683 4.1942
2.5213 7.1026 4.2360
5.8116 1.4306 4.2441
2.6120 7.1237 1.7853
5.9175 1.4569 1.7908
2.3338 9.4282 9.2196
6.0758 3.0100 15.1863
4.8298 5.4517 7.8990
4.8600 5.5566 10.3522
3.9900 7.1081 14.0298
3.9764 7.1457 16.4795
8.1473 0.0700 7.8979
8.1053 0.1801 10.3466
2.6604 9.6130 12.5366
6.3970 3.1698 11.8326
7.4416 1.3667 16.4123
7.4745 1.3883 13.9641
5.9348 4.0592 12.5546
3.2232 8.7797 11.8196
6.5710 3.1101 6.4464
2.7606 9.7551 17.9231
3.4273 8.7097 6.4642
6.0735 4.1800 17.9408
6.0957 4.5381 2.9700
2.8330 10.2023 2.9748
7.1101 3.9550 5.7245
3.7804 9.7504 0.2952
7.0748 4.1356 0.3383
3.9089 9.6116 5.7837
7.4091 3.7568 9.0782
3.7605 10.2362 15.3177
5.5556 7.5137 9.0353
6.0884 6.7524 15.2681
9.2010 1.5924 5.6921
5.9384 7.2455 5.7871
9.3347 1.4203 0.3004
6.0804 7.1173 0.3151
9.3304 2.6560 3.0518
6.0707 8.2882 3.0745
9.6504 2.4805 6.4232
10.3066 1.3963 17.8638
6.4710 8.1699 6.4070
7.0742 7.1721 17.9084
10.3667 1.6159 12.5152
9.8325 2.5393 11.8952
4.8681 11.2003 10.4184
8.8333 4.3963 14.0071
4.9150 11.2056 7.9732
8.9090 4.3177 16.4604
7.1563 7.3739 12.5167
6.6913 8.2276 11.7556
8.1142 5.7790 7.8559
8.1493 5.7613 10.3042
5.8124 9.8598 14.0138
5.8994 9.8261 16.4671
10.6693 1.9035 9.1827
10.2562 2.7367 15.1435
12.0869 1.2828 4.2508
8.8451 6.9293 4.2384
12.1595 1.3413 1.7975
8.9195 7.0207 1.7898
```

No. 4
A plane-wave DFT calculation with PBE-GGA was carried out for a relaxed Li3NdAs2 crystal.

Summary:
Its calculated density is 4.67 g/cm³. The formation energy is -5.964 eV/f.u. For the final energy, the calculation gives -4.30 eV per atom. As for the space group: P-3m1 (164).

The structure in POSCAR format:
```
Li3NdAs2
1.0
4.3128 0.0000 0.0000
-2.1564 3.7350 0.0000
0.0000 0.0000 6.9530
Li Nd As
3 1 2
Cartesian
0.0000 0.0000 0.0000
0.0000 2.4900 1.0046
2.1564 1.2450 5.9483
0.0000 0.0000 3.4765
0.0000 2.4900 5.2675
2.1564 1.2450 1.6855
```

No. 5
A plane-wave DFT calculation with PBE-GGA was carried out for a relaxed TmAlAu crystal.

Summary:
Its calculated density is 10.69 g/cm³. The formation energy is -2.381 eV/f.u. For the final energy, the calculation gives -4.63 eV per atom. As for the space group: Pnma (62).

The structure in POSCAR format:
```
TmAlAu
1.0
7.0970 0.0000 0.0000
0.0000 4.4002 0.0000
0.0000 0.0000 7.8148
Tm Al Au
4 4 4
Cartesian
0.0755 1.1001 1.4993
3.4730 3.3002 5.4067
3.6240 1.1001 2.4081
7.0215 3.3002 6.3154
1.1841 1.1001 4.4832
2.3644 3.3002 0.5758
4.7326 1.1001 7.2389
5.9129 3.3002 3.3315
1.5381 3.3002 3.1026
2.0103 1.1001 7.0100
5.0866 3.3002 0.8048
5.5588 1.1001 4.7122
```

No. 6
A plane-wave DFT calculation with PBE-GGA was carried out for a relaxed Na4CaTiSiP2O12 crystal.

Summary:
Its calculated density is 2.79 g/cm³. The formation energy is -60.098 eV/f.u. For the final energy, the calculation gives -6.79 eV per atom. As for the space group: Cc (9).

The structure in POSCAR format:
```
Na4CaTiSiP2O12
1.0
8.0313 -4.6481 0.0000
8.0313 4.6481 0.0000
-0.1657 0.0000 22.0684
Na Ca Ti Si P O
24 6 6 6 12 72
Cartesian
7.9484 3.3841 11.0342
5.2572 1.7416 0.0713
2.6446 0.0487 12.8915
2.7275 -0.0487 1.8573
5.7268 1.6462 7.4758
7.8173 2.8919 18.3689
5.2208 1.3215 14.7413
8.3859 3.0304 3.7567
10.4606 1.7525 14.8291
5.3037 -1.3215 3.7072
8.0718 0.0292 16.5498
8.1547 -0.0292 5.5156
5.1743 -1.7416 11.1055
11.1064 1.5928 0.1538
10.6456 1.3172 7.4546
5.6440 -1.6462 18.5100
7.9001 -2.8919 7.3347
10.5627 -1.3172 18.4888
13.3791 0.0765 20.2399
10.5435 -1.7525 3.7949
8.3030 -3.0304 14.7908
13.4619 -0.0765 9.2057
11.0235 -1.5928 11.1880
8.0313 -3.3841 0.0000
2.7355 0.0025 5.1662
2.6526 -0.0025 16.2004
8.0840 0.0099 8.8448
8.0012 -0.0099 19.8790
13.4684 0.0120 1.4906
13.3855 -0.0120 12.5248
2.8074 0.1129 9.5211
2.7246 -0.1129 20.5553
8.0445 0.0198 13.2045
8.1274 -0.0198 2.1703
13.2302 0.0365 16.8877
13.3130 -0.0365 5.8535
5.6145 1.3397 10.9376
10.7614 1.8244 18.2746
5.5316 -1.3397 21.9718
10.9560 1.3302 3.5676
10.8732 -1.3302 14.6018
10.8442 -1.8244 7.2404
7.6726 3.1707 14.6796
5.5415 1.8602 3.6352
4.9959 1.4943 18.3509
8.3315 3.3747 7.3430
8.0860 2.7657 22.0294
5.0788 -1.4943 7.3167
10.3969 1.5053 11.0153
5.4587 -1.8602 14.6694
8.1689 -2.7657 10.9952
10.3140 -1.5053 22.0494
7.7555 -3.1707 3.6455
8.2487 -3.3747 18.3772
1.0763 0.6595 19.5831
2.9771 1.6625 8.5313
5.3513 2.9248 11.0550
5.6397 2.9246 4.8422
7.0619 3.7141 0.1259
6.7156 3.5705 15.8860
7.1438 3.7194 13.3667
5.3675 2.6169 2.3340
4.0283 1.0647 19.5631
1.1591 -0.6595 8.5489
9.1042 3.7038 14.8150
4.3695 0.8865 3.7814
4.4330 0.9541 17.0516
9.0880 3.5645 6.0387
4.1323 0.4870 10.8770
9.4414 3.5730 22.0145
7.9118 2.0175 20.7210
6.3933 1.0823 9.5843
6.4239 0.9626 18.4916
8.0983 1.8623 7.4769
4.0494 -0.4870 21.9112
7.6903 1.5817 14.6327
6.9058 1.0735 3.6453
10.3520 3.0651 11.0307
8.3656 1.7179 1.1747
6.5170 0.6071 12.2231
10.7149 2.9088 3.7430
2.8943 -1.6625 19.5655
4.2866 -0.8865 14.8155
4.1112 -1.0647 8.5289
10.5536 2.6379 16.9385
4.5158 -0.9541 6.0174
6.5998 -0.6071 1.1889
9.4106 1.0193 12.2026
6.5068 -0.9626 7.4574
9.5503 0.7894 18.4518
6.3104 -1.0823 20.6185
9.8760 0.9132 9.7168
9.5223 0.4721 3.5384
6.8229 -1.0735 14.6795
5.2846 -2.6169 13.3681
11.8247 1.1176 2.2652
11.8283 0.9971 11.1840
9.4394 -0.4721 14.5725
13.1123 1.5756 7.3104
5.4342 -2.9248 0.0208
7.7731 -1.5817 3.5985
12.2445 1.0074 18.2370
5.5569 -2.9246 15.8764
11.9079 0.6106 4.8672
9.6331 -0.7894 7.4176
9.4935 -1.0193 1.1684
8.2827 -1.7179 12.2088
8.0155 -1.8623 18.5111
9.7931 -0.9132 20.7510
7.9946 -2.0175 9.6868
11.8250 -0.6106 15.9014
6.7984 -3.5705 4.8518
6.9790 -3.7141 11.1601
11.9112 -0.9971 0.1498
7.2267 -3.7194 2.3325
11.7419 -1.1176 13.2994
12.3274 -1.0074 7.2028
14.9157 0.4954 18.3565
10.6365 -2.6379 5.9044
9.0051 -3.5645 17.0729
9.1870 -3.7038 3.7808
10.2692 -3.0651 22.0649
9.5243 -3.5730 10.9803
10.6321 -2.9088 14.7772
13.0294 -1.5756 18.3446
14.9986 -0.4954 7.3223
```

Repeat the fourth record exactly.
A plane-wave DFT calculation with PBE-GGA was carried out for a relaxed Li3NdAs2 crystal.

Summary:
Its calculated density is 4.67 g/cm³. The formation energy is -5.964 eV/f.u. For the final energy, the calculation gives -4.30 eV per atom. As for the space group: P-3m1 (164).

The structure in POSCAR format:
```
Li3NdAs2
1.0
4.3128 0.0000 0.0000
-2.1564 3.7350 0.0000
0.0000 0.0000 6.9530
Li Nd As
3 1 2
Cartesian
0.0000 0.0000 0.0000
0.0000 2.4900 1.0046
2.1564 1.2450 5.9483
0.0000 0.0000 3.4765
0.0000 2.4900 5.2675
2.1564 1.2450 1.6855
```

The highest calculated density belongs to which entry? TmAlAu

Look up the calculated density of the third one. 2.30 g/cm³

What is the final energy in the sixth record? -6.79 eV per atom